No. 1
This record from the Materials Project database describes a relaxed structure of Zr4TiPb5O15. The functional is GGA-PBE.

- SG: P1
- Energy above the most stable polymorph in this dataset: 1 meV/atom
- Energy of formation: -2.8152 eV/atom

Lattice parameters (Å, degrees): 5.8836 5.9508 24.2817 83.38 89.98 60.38
Closest atoms and distances in Å follow each position.
Positions (direct):
Zr: 0.0000 0.0000 0.0000  6 O 2.05-2.20
Zr: 0.0982 0.8046 0.2981  3 O 2.03-2.04
Zr: 0.1998 0.6019 0.5966  6 O 2.05-2.20
Zr: 0.2999 0.4009 0.8990  6 O 2.05-2.19
Zr: 0.4971 0.0061 0.4952  5 O 2.04-2.20
Zr: 0.5998 0.8010 0.7982  6 O 2.05-2.19
Zr: 0.6999 0.6007 0.1012  6 O 2.04-2.28
Zr: 0.8993 0.2016 0.6975  6 O 2.05-2.20
Ti: 0.3956 0.2079 0.1988  3 O 1.89-1.90
Ti: 0.7965 0.4090 0.3966  3 O 1.89-1.91
Pb: 0.0210 0.9605 0.1482  4 O 2.51-2.75
Pb: 0.1145 0.7744 0.4413  3 O 2.44-2.46
Pb: 0.2185 0.5637 0.7432  3 O 2.48-2.49
Pb: 0.3186 0.3609 0.0461  3 O 2.48-2.51
Pb: 0.4192 0.1620 0.3438  4 O 2.50-2.79
Pb: 0.5180 0.9647 0.6424  3 O 2.48
Pb: 0.6192 0.7631 0.9442  3 O 2.48-2.49
Pb: 0.7147 0.5715 0.2450  3 O 2.45-2.47
Pb: 0.8172 0.3636 0.5395  4 O 2.48-2.77
Pb: 0.9186 0.1635 0.8437  3 O 2.48-2.49
O: 0.0657 0.3518 0.1595  1 Ti 1.89
O: 0.1007 0.3614 0.6560  2 Zr 2.05-2.19
O: 0.1061 0.8583 0.6538  2 Zr 2.05-2.20
O: 0.1365 0.6586 0.9559  2 Zr 2.05-2.19
O: 0.1703 0.1556 0.4415  1 Zr 2.06, 1 Ti 2.15
O: 0.1714 0.1460 0.9440  2 Zr 2.05-2.19
O: 0.2392 0.9612 0.7567  2 Zr 2.05-2.19
O: 0.2956 0.9623 0.2550  1 Zr 2.04, 1 Ti 2.18
O: 0.3014 0.4447 0.2519  1 Ti 1.90
O: 0.3391 0.2570 0.5529  2 Zr 2.04-2.20
O: 0.3748 0.7468 0.5412  2 Zr 2.06-2.20
O: 0.3842 0.7447 0.0455  2 Zr 2.04-2.20
O: 0.4660 0.5512 0.3562  1 Ti 1.91
O: 0.5002 0.5608 0.8573  2 Zr 2.05-2.19
O: 0.5067 0.0583 0.8552  2 Zr 2.05-2.19
O: 0.5392 0.8665 0.1564  1 Zr 2.05, 1 Ti 2.17
O: 0.5630 0.3423 0.1491  1 Ti 1.90
O: 0.5809 0.3468 0.6421  2 Zr 2.05-2.19
O: 0.6413 0.1599 0.9578  2 Zr 2.05-2.19
O: 0.6967 0.1670 0.4529  1 Zr 2.06, 1 Ti 2.16
O: 0.7026 0.6470 0.4489  1 Ti 1.89
O: 0.7356 0.4583 0.7546  2 Zr 2.05-2.19
O: 0.7719 0.9466 0.7425  2 Zr 2.05-2.19
O: 0.7751 0.9519 0.2443  1 Zr 2.04, 1 Ti 2.19
O: 0.8415 0.7604 0.5534  2 Zr 2.06-2.20
O: 0.8986 0.7572 0.0585  2 Zr 2.04-2.20
O: 0.9026 0.2573 0.0576  2 Zr 2.06-2.19
O: 0.9417 0.0633 0.3538  1 Zr 2.03, 1 Ti 2.19
O: 0.9656 0.5421 0.3468  1 Ti 1.91
O: 0.9828 0.5463 0.8431  2 Zr 2.05-2.19

---

No. 2
This record from the Materials Project database describes a relaxed structure of ZrTiPb2O6. The functional is GGA-PBE.

- SG: P1
- Energy above the most stable polymorph in this dataset: 10 meV/atom
- Energy of formation: -2.7749 eV/atom

Lattice parameters (Å, degrees): 4.1656 4.2304 8.1110 89.20 89.54 88.74
Closest atoms and distances in Å follow each position.
Positions (direct):
Zr: 0.0000 0.0000 0.0000  6 O 2.03-2.22
Ti: 0.9736 0.9765 0.5004  4 O 1.83-2.03
Pb: 0.4518 0.4430 0.2430  3 O 2.45-2.54
Pb: 0.4557 0.4449 0.7191  3 O 2.42-2.49
O: 0.0268 0.5471 0.5121  1 Ti 1.83
O: 0.0298 0.5204 0.0203  2 Zr 2.03-2.22
O: 0.0326 0.0481 0.2715  1 Ti 1.89
O: 0.0346 0.0526 0.7446  1 Ti 2.03, 1 Zr 2.08
O: 0.5113 0.0475 0.0206  2 Zr 2.05-2.15
O: 0.5307 0.0425 0.5118  1 Ti 1.86

---

No. 3
This record from the Materials Project database describes a relaxed structure of Zr3Ti2Pb5O15. The functional is GGA-PBE.

- SG: R3m
- Energy above the most stable polymorph in this dataset: 6 meV/atom
- Energy of formation: -2.7800 eV/atom

Lattice parameters (Å, degrees): 12.6031 12.6031 12.6031 26.78 26.78 26.78
Closest atoms and distances in Å follow each position.
Positions (direct):
Zr: 0.0000 0.0000 0.0000  6 O 2.05-2.20
Zr: 0.1953 0.1953 0.1953  6 O 2.02-2.26
Zr: 0.5974 0.5974 0.5974  6 O 2.04-2.20
Ti: 0.4002 0.4002 0.4002  6 O 1.91-2.13
Ti: 0.7976 0.7976 0.7976  3 O 1.88
Pb: 0.1021 0.1021 0.1021  3 O 2.56
Pb: 0.3102 0.3102 0.3102  3 O 2.43
Pb: 0.5036 0.5036 0.5036  3 O 2.50
Pb: 0.7083 0.7083 0.7083  3 O 2.45
Pb: 0.9073 0.9073 0.9073  3 O 2.46
O: 0.0879 0.5925 0.5925  1 Ti 1.91
O: 0.2048 0.2048 0.6732  1 Zr 2.05, 1 Ti 2.13
O: 0.2048 0.6732 0.2048  1 Zr 2.05, 1 Ti 2.13
O: 0.2749 0.8003 0.8003  2 Zr 2.04-2.20
O: 0.3969 0.3969 0.8742  2 Zr 2.02-2.20
O: 0.3969 0.8742 0.3969  2 Zr 2.02-2.20
O: 0.4905 0.9865 0.9865  1 Ti 1.88
O: 0.5925 0.0879 0.5925  1 Ti 1.91
O: 0.5925 0.5925 0.0879  1 Ti 1.91
O: 0.6732 0.2048 0.2048  1 Zr 2.05, 1 Ti 2.13
O: 0.8003 0.2749 0.8003  2 Zr 2.04-2.20
O: 0.8003 0.8003 0.2749  2 Zr 2.04-2.20
O: 0.8742 0.3969 0.3969  2 Zr 2.02-2.20
O: 0.9865 0.4905 0.9865  1 Ti 1.88
O: 0.9865 0.9865 0.4905  1 Ti 1.88